Na8In6Au11: relaxed, PBE-GGA.

Cell and atoms, written as extended XYZ:
```
100
Lattice="-3.3349 2.4845 -3.7834 3.8710 -10.5683 -10.3523 -19.9996 -14.9668 7.8005" Properties=species:S:1:pos:R:3 pbc="T T T"
Au -9.6450 -7.9476 1.0667
Au -4.3658 -2.9598 -4.2581
Au -10.5749 -13.0377 -5.3789
Au -6.2573 -14.6730 -4.3021
Au -0.2531 -7.4884 -4.9981
Au -2.3637 -11.7773 -5.8023
Au -12.0070 -8.9980 2.5723
Au -10.7993 -12.2950 -0.6574
Au -19.2104 -15.5621 -1.3371
Au 1.2526 -11.5993 -9.0250
Au -12.7806 -11.6241 1.4404
Au -8.0849 -4.3427 -1.8223
Au -12.2063 -16.4483 -2.2996
Au -6.1181 -10.3826 -1.7290
Au -6.6830 -11.4265 -7.7755
Au -15.0977 -20.0907 -2.0771
Au -8.8886 -10.0128 -0.9563
Au -11.3786 -18.7078 -4.5129
Au -3.7391 -7.8231 -7.9385
Au -3.6635 -0.2807 -3.2070
Au -19.4467 -19.7802 -4.0203
Au -16.5521 -12.9679 3.8167
Au -15.5773 -16.8664 -5.5479
Au -21.2107 -14.2644 3.1906
Au -13.3455 -12.6679 -4.6062
Au -9.8185 -15.1030 -7.4019
Au -7.4565 -14.0525 -8.9074
Au -7.2573 -6.6022 -4.0356
Au 1.7472 -8.7861 -9.5258
Au -3.8862 -6.1841 -0.7872
Au -15.8001 -22.7699 -3.1282
Au -20.4542 -16.3296 1.1676
Au -8.6642 -10.7555 -5.6778
Au -2.9115 -10.0826 -10.1518
Au -15.7244 -15.2274 1.6034
Au -7.6238 -6.2717 2.2979
Au -17.0077 -19.4728 0.1015
Au -17.0998 -11.2732 -0.5329
Au 0.9907 -6.7209 -7.5028
Au -20.7162 -11.4512 2.6899
Au -2.4558 -3.5777 -6.4366
Au -13.2062 -8.3775 -2.0331
Au -11.8397 -16.7788 -8.6331
Au -0.0168 -3.2703 -2.3149
Na -5.4872 -11.5679 -4.6438
Na -12.4910 -15.6322 -5.6539
Na -8.2767 -12.5767 -2.8837
Na -18.7459 -13.5804 1.2069
Na -17.3178 -17.6873 -2.8205
Na 0.6148 -4.3328 -5.3075
Na -12.6653 -6.4375 0.5023
Na -3.0164 -2.9863 -1.1863
Na -9.2670 -15.9045 -4.1703
Na -13.9763 -11.4826 -1.6913
Na -4.6165 -13.9448 -6.9722
Na -6.7982 -16.6130 -6.8374
Na -13.1020 -14.4502 -0.0005
Na -18.3739 -15.9871 3.8029
Na -18.5999 -22.7539 -4.9814
Na -0.8636 -0.2966 -1.3538
Na -4.9200 -12.5357 -10.1897
Na -6.2339 -1.7722 -1.9632
Na -6.9725 -7.4184 -0.6813
Na -0.7176 -9.4701 -7.5421
Na -14.5435 -10.5148 3.8545
Na -11.1869 -10.4738 -3.4515
Na -4.7924 -5.7076 -5.8182
Na -14.6711 -17.3429 -0.5170
Na -2.1457 -5.3632 -3.5146
Na -10.1965 -7.1460 -2.1649
Na -1.0896 -7.0634 -10.1381
Na -14.8470 -9.1057 0.6370
Na -6.3615 -8.6003 -6.3347
Na -20.0784 -18.7177 -1.0276
Na -16.4471 -20.0642 -5.1489
Na -13.2296 -21.2783 -4.3719
In -11.6129 -9.5624 -0.2277
In -9.4419 -5.2387 0.4457
In -4.0452 -10.6185 -7.6140
In -7.9765 -9.2393 -3.4731
In -7.8506 -13.4882 -6.1074
In -17.8563 -20.9671 -2.2139
In -1.5334 -12.3809 -8.6902
In -6.1214 -4.5339 0.5070
In -1.6944 -6.1735 -6.9973
In -10.0217 -17.8118 -6.7808
In -19.2345 -12.8765 4.5810
In -15.4183 -12.4320 1.2788
In -1.6072 -2.0834 -4.1213
In -17.9301 -10.6696 2.3551
In -11.4870 -13.8112 -2.8620
In -5.4419 -4.9312 -2.6480
In -0.2290 -10.1740 -10.9161
In -16.6226 -14.2390 -1.1414
In -13.3422 -18.5167 -6.8421
In -17.7691 -16.8770 0.6622
In -14.6496 -14.9472 -3.3457
In -4.8139 -8.1033 -2.9895
In -14.0216 -18.1193 -3.6872
In -2.8409 -8.8115 -5.1938
```

The formation energy comes out at -8.4 eV per formula unit. The calculation puts the total moment at 0.000 μB per atom. As for the uncorrected energy: -2.860 eV/atom.